(1)
The following is a PBE calculation of a relaxed structure of CaAg2O4, from the Materials Project.

Calculated values
- offset from the most stable computed form (meV per atom) = 163
- VASP energy (eV/atom) = -4.71
- calculated volume (Å³/atom) = 15.40

Geometry as CIF:
```
data_CaAg2O4
_symmetry_space_group_name_H-M 'P -1'
_symmetry_Int_Tables_number 2
_cell_length_a 3.877
_cell_length_b 7.098
_cell_length_c 8.334
_cell_angle_alpha 97.08
_cell_angle_beta 98.16
_cell_angle_gamma 105.53
loop_
_symmetry_equiv_pos_as_xyz
'x,y,z'
'-x,-y,-z'
loop_
_atom_site_label
_atom_site_fract_x
_atom_site_fract_y
_atom_site_fract_z
_atom_site_occupancy
Ca1 0.193 0.141 0.320 1
Ag1 0.160 0.458 0.671 1
Ag2 0.408 0.192 0.976 1
O1 0.064 0.216 0.775 1
O2 0.205 0.695 0.539 1
O3 0.377 0.927 0.837 1
O4 0.378 0.402 0.161 1
```

***

(2)
The following is a PBE calculation of a relaxed structure of In6S7, from the Materials Project.

Calculated values
- VASP energy (eV/atom) = -4.00
- calculated volume (Å³/atom) = 24.03

Geometry as CIF:
```
data_In6S7
_symmetry_space_group_name_H-M 'P 1 21/m 1'
_symmetry_Int_Tables_number 11
_cell_length_a 9.244
_cell_length_b 3.946
_cell_length_c 17.510
_cell_angle_alpha 90.00
_cell_angle_beta 102.01
_cell_angle_gamma 90.00
loop_
_symmetry_equiv_pos_as_xyz
'x,y,z'
'-x,-y,-z'
'-x,y+1/2,-z'
'x,-y+1/2,z'
loop_
_atom_site_label
_atom_site_fract_x
_atom_site_fract_y
_atom_site_fract_z
_atom_site_occupancy
In1 0.022 0.250 0.104 1
In2 0.068 0.250 0.621 1
In3 0.183 0.750 0.311 1
In4 0.327 0.250 0.968 1
In5 0.355 0.750 0.546 1
In6 0.469 0.250 0.775 1
S1 0.116 0.250 0.847 1
S2 0.166 0.250 0.495 1
S3 0.168 0.750 0.032 1
S4 0.240 0.250 0.228 1
S5 0.246 0.750 0.674 1
S6 0.443 0.750 0.410 1
S7 0.464 0.750 0.910 1
```

***

(3)
The following is a PBE calculation of a relaxed structure of Sr3Lu2O12, from the Materials Project.

Calculated values
- VASP energy (eV/atom) = -5.67
- calculated volume (Å³/atom) = 22.52

Geometry as CIF:
```
data_Sr3Lu2O12
_symmetry_space_group_name_H-M 'I a -3 d'
_symmetry_Int_Tables_number 230
_symmetry_space_group_name_Hall '-I 4bd 2c 3'
_cell_length_a 14.522
_cell_length_b 14.522
_cell_length_c 14.522
_cell_angle_alpha 90.00
_cell_angle_beta 90.00
_cell_angle_gamma 90.00
loop_
_atom_site_label
_atom_site_fract_x
_atom_site_fract_y
_atom_site_fract_z
_atom_site_occupancy
Sr1 0.000 0.250 0.125 1
Lu1 0.000 0.000 0.000 1
O1 0.003 0.067 0.633 1
```

***

(4)
The following is a PBE calculation of a relaxed structure of Sr5Fe2N4, from the Materials Project.

Calculated values
- VASP energy (eV/atom) = -5.78
- calculated volume (Å³/atom) = 21.52

Geometry as CIF:
```
data_Sr5Fe2N4
_symmetry_space_group_name_H-M 'P 4/n c c'
_symmetry_Int_Tables_number 130
_cell_length_a 8.731
_cell_length_b 8.731
_cell_length_c 12.419
_cell_angle_alpha 90.00
_cell_angle_beta 90.00
_cell_angle_gamma 90.00
loop_
_symmetry_equiv_pos_as_xyz
'x,y,z'
'-x,-y,-z'
'-y+1/2,x,z'
'y+1/2,-x,-z'
'-x+1/2,-y+1/2,z'
'x+1/2,y+1/2,-z'
'y,-x+1/2,z'
'-y,x+1/2,-z'
'x+1/2,-y,-z+1/2'
'-x+1/2,y,z+1/2'
'-y,-x,-z+1/2'
'y,x,z+1/2'
'-x,y+1/2,-z+1/2'
'x,-y+1/2,z+1/2'
'y+1/2,x+1/2,-z+1/2'
'-y+1/2,-x+1/2,z+1/2'
loop_
_atom_site_label
_atom_site_fract_x
_atom_site_fract_y
_atom_site_fract_z
_atom_site_occupancy
Sr1 0.069 0.637 0.102 1
Sr2 0.250 0.250 0.162 1
Fe1 0.092 0.592 0.750 1
N1 0.058 0.642 0.884 1
```

***

(5)
The following is a PBE calculation of a relaxed structure of Lu2Br2O, from the Materials Project.

Calculated values
- VASP energy (eV/atom) = -4.69
- calculated volume (Å³/atom) = 45.88

Geometry as CIF:
```
data_Lu2Br2O
_symmetry_space_group_name_H-M 'P 4/m m m'
_symmetry_Int_Tables_number 123
_symmetry_space_group_name_Hall '-P 4 2'
_cell_length_a 4.031
_cell_length_b 4.031
_cell_length_c 14.122
_cell_angle_alpha 90.00
_cell_angle_beta 90.00
_cell_angle_gamma 90.00
loop_
_atom_site_label
_atom_site_fract_x
_atom_site_fract_y
_atom_site_fract_z
_atom_site_occupancy
Lu1 0.000 0.000 0.141 1
Br1 0.000 0.000 0.322 1
O1 0.000 0.000 0.000 1
```

***

(6)
The following is a PBE calculation of a relaxed structure of Fe9B4Ir3, from the Materials Project.

Calculated values
- VASP energy (eV/atom) = -8.30
- calculated volume (Å³/atom) = 10.55

Geometry as CIF:
```
data_Fe9B4Ir3
_symmetry_space_group_name_H-M 'P 1 m 1'
_symmetry_Int_Tables_number 6
_cell_length_a 4.469
_cell_length_b 6.945
_cell_length_c 5.440
_cell_angle_alpha 90.00
_cell_angle_beta 90.04
_cell_angle_gamma 90.00
loop_
_symmetry_equiv_pos_as_xyz
'x,y,z'
'x,-y,z'
loop_
_atom_site_label
_atom_site_fract_x
_atom_site_fract_y
_atom_site_fract_z
_atom_site_occupancy
Fe1 0.000 0.000 0.000 1
Fe2 0.017 0.306 0.294 1
Fe3 0.233 0.306 0.796 1
Fe4 0.520 0.185 0.148 1
Fe5 0.733 0.189 0.655 1
B1 0.289 0.500 0.092 1
B2 0.450 0.000 0.853 1
B3 0.790 0.000 0.354 1
B4 0.960 0.500 0.589 1
Ir1 0.239 0.000 0.500 1
Ir2 0.506 0.500 0.442 1
Ir3 0.745 0.500 0.947 1
```

***

(7)
The following is a PBE calculation of a relaxed structure of CrCuS2, from the Materials Project.

Calculated values
- VASP energy (eV/atom) = -6.02
- calculated volume (Å³/atom) = 16.45

Geometry as CIF:
```
data_CrCuS2
_symmetry_space_group_name_H-M 'R 3 m'
_symmetry_Int_Tables_number 160
_symmetry_space_group_name_Hall 'R 3 -2"'
_cell_length_a 3.5230
_cell_length_b 3.5230
_cell_length_c 18.3603
_cell_angle_alpha 90.00
_cell_angle_beta 90.00
_cell_angle_gamma 120.00
loop_
_atom_site_label
_atom_site_fract_x
_atom_site_fract_y
_atom_site_fract_z
_atom_site_occupancy
Cr1 0.0000 0.0000 0.0000 1
Cu1 0.0000 0.0000 0.8535 1
S1 0.0000 0.0000 0.2546 1
S2 0.0000 0.0000 0.7333 1
```

***

(8)
The following is a PBE calculation of a relaxed structure of BaZnSb2, from the Materials Project.

Calculated values
- VASP energy (eV/atom) = -3.46
- calculated volume (Å³/atom) = 31.17

Geometry as CIF:
```
data_BaZnSb2
_symmetry_space_group_name_H-M 'I 4/m m m'
_symmetry_Int_Tables_number 139
_symmetry_space_group_name_Hall '-I 4 2'
_cell_length_a 4.528
_cell_length_b 4.528
_cell_length_c 24.326
_cell_angle_alpha 90.00
_cell_angle_beta 90.00
_cell_angle_gamma 90.00
loop_
_atom_site_label
_atom_site_fract_x
_atom_site_fract_y
_atom_site_fract_z
_atom_site_occupancy
Ba1 0.000 0.000 0.117 1
Zn1 0.000 0.500 0.250 1
Sb1 0.000 0.000 0.318 1
Sb2 0.000 0.500 0.000 1
```

***

(9)
The following is a PBE calculation of a relaxed structure of GeTe7As4, from the Materials Project.

Calculated values
- VASP energy (eV/atom) = -3.79
- calculated volume (Å³/atom) = 28.87

Geometry as CIF:
```
data_GeTe7As4
_symmetry_space_group_name_H-M 'P -3 m 1'
_symmetry_Int_Tables_number 164
_symmetry_space_group_name_Hall '-P 3 2"'
_cell_length_a 4.1234
_cell_length_b 4.1234
_cell_length_c 23.5297
_cell_angle_alpha 90.00
_cell_angle_beta 90.00
_cell_angle_gamma 120.00
loop_
_atom_site_label
_atom_site_fract_x
_atom_site_fract_y
_atom_site_fract_z
_atom_site_occupancy
Ge1 0.0000 0.0000 0.0000 1
Te1 0.0000 0.0000 0.2217 1
Te2 0.0000 0.0000 0.5000 1
Te3 0.3333 0.6667 0.6459 1
Te4 0.3333 0.6667 0.9244 1
As1 0.3333 0.6667 0.1550 1
As2 0.3333 0.6667 0.4215 1
```

***

(10)
The following is a PBE calculation of a relaxed structure of LiPb3, from the Materials Project.

Calculated values
- VASP energy (eV/atom) = -3.38
- calculated volume (Å³/atom) = 28.46

Geometry as CIF:
```
data_LiPb3
_symmetry_space_group_name_H-M 'I 4/m m m'
_symmetry_Int_Tables_number 139
_symmetry_space_group_name_Hall '-I 4 2'
_cell_length_a 4.801
_cell_length_b 4.801
_cell_length_c 9.878
_cell_angle_alpha 90.00
_cell_angle_beta 90.00
_cell_angle_gamma 90.00
loop_
_atom_site_label
_atom_site_fract_x
_atom_site_fract_y
_atom_site_fract_z
_atom_site_occupancy
Li1 0.000 0.000 0.000 1
Pb1 0.000 0.000 0.500 1
Pb2 0.000 0.500 0.250 1
```

***

(11)
The following is a PBE calculation of a relaxed structure of In3Ru, from the Materials Project.

Calculated values
- VASP energy (eV/atom) = -4.52
- calculated volume (Å³/atom) = 23.12

Geometry as CIF:
```
data_In3Ru
_symmetry_space_group_name_H-M 'P -4 n 2'
_symmetry_Int_Tables_number 118
_cell_length_a 7.092
_cell_length_b 7.092
_cell_length_c 7.355
_cell_angle_alpha 90.00
_cell_angle_beta 90.00
_cell_angle_gamma 90.00
loop_
_symmetry_equiv_pos_as_xyz
'x,y,z'
'y,-x,-z'
'-x,-y,z'
'-y,x,-z'
'-x+1/2,y+1/2,z+1/2'
'-y+1/2,-x+1/2,-z+1/2'
'x+1/2,-y+1/2,z+1/2'
'y+1/2,x+1/2,-z+1/2'
loop_
_atom_site_label
_atom_site_fract_x
_atom_site_fract_y
_atom_site_fract_z
_atom_site_occupancy
In1 0.000 0.000 0.243 1
In2 0.152 0.341 0.511 1
Ru1 0.154 0.654 0.750 1
```

***

(12)
The following is a PBE calculation of a relaxed structure of Al7C3N3, from the Materials Project.

Calculated values
- VASP energy (eV/atom) = -6.67
- calculated volume (Å³/atom) = 11.30

Geometry as CIF:
```
data_Al7C3N3
_symmetry_space_group_name_H-M 'P 63 m c'
_symmetry_Int_Tables_number 186
_symmetry_space_group_name_Hall 'P 6c -2c'
_cell_length_a 3.2514
_cell_length_b 3.2514
_cell_length_c 32.0793
_cell_angle_alpha 90.00
_cell_angle_beta 90.00
_cell_angle_gamma 120.00
loop_
_atom_site_label
_atom_site_fract_x
_atom_site_fract_y
_atom_site_fract_z
_atom_site_occupancy
Al1 0.0000 0.0000 0.0000 1
Al2 0.0000 0.0000 0.1303 1
Al3 0.0000 0.0000 0.2806 1
Al4 0.3333 0.6667 0.0725 1
Al5 0.3333 0.6667 0.2019 1
Al6 0.3333 0.6667 0.3587 1
Al7 0.3333 0.6667 0.9205 1
C1 0.0000 0.0000 0.0601 1
C2 0.0000 0.0000 0.3887 1
C3 0.3333 0.6667 0.1409 1
N1 0.0000 0.0000 0.2229 1
N2 0.3333 0.6667 0.3010 1
N3 0.3333 0.6667 0.9774 1
```

***

(13)
The following is a PBE calculation of a relaxed structure of MnSbAu, from the Materials Project.

Calculated values
- VASP energy (eV/atom) = -5.47
- calculated volume (Å³/atom) = 22.47

Geometry as CIF:
```
data_MnSbAu
_symmetry_space_group_name_H-M 'F -4 3 m'
_symmetry_Int_Tables_number 216
_symmetry_space_group_name_Hall 'F -4 2 3'
_cell_length_a 6.460
_cell_length_b 6.460
_cell_length_c 6.460
_cell_angle_alpha 90.00
_cell_angle_beta 90.00
_cell_angle_gamma 90.00
loop_
_atom_site_label
_atom_site_fract_x
_atom_site_fract_y
_atom_site_fract_z
_atom_site_occupancy
Mn1 0.000 0.000 0.000 1
Sb1 0.000 0.000 0.500 1
Au1 0.250 0.250 0.250 1
```

***

(14)
The following is a PBE calculation of a relaxed structure of Tm2Ti12Cu9O36, from the Materials Project.

Calculated values
- VASP energy (eV/atom) = -7.70
- calculated volume (Å³/atom) = 10.42

Geometry as CIF:
```
data_Tm2Ti12Cu9O36
_symmetry_space_group_name_H-M 'P -3'
_symmetry_Int_Tables_number 147
_cell_length_a 10.4999
_cell_length_b 10.4999
_cell_length_c 6.4420
_cell_angle_alpha 90.00
_cell_angle_beta 90.00
_cell_angle_gamma 120.00
loop_
_symmetry_equiv_pos_as_xyz
'x,y,z'
'-x,-y,-z'
'-y,x-y,z'
'y,-x+y,-z'
'-x+y,-x,z'
'x-y,x,-z'
loop_
_atom_site_label
_atom_site_fract_x
_atom_site_fract_y
_atom_site_fract_z
_atom_site_occupancy
Tm1 0.3333 0.6667 0.3284 1
Ti1 0.0000 0.0000 0.5000 1
Ti2 0.0000 0.5000 0.5000 1
Ti3 0.1587 0.3196 0.1635 1
Ti4 0.3333 0.6667 0.8404 1
Cu1 0.0000 0.5000 0.0000 1
Cu2 0.1677 0.3357 0.6623 1
O1 0.0171 0.1642 0.3289 1
O2 0.0440 0.2686 0.9121 1
O3 0.0773 0.4520 0.2508 1
O4 0.1186 0.7072 0.4145 1
O5 0.1767 0.5266 0.6463 1
O6 0.1931 0.6831 0.0188 1
```

***

Number 1: formation enthalpy at 0 K -1.18 eV/atom. Number 2: formation enthalpy at 0 K -0.77 eV/atom. Number 3: formation enthalpy at 0 K -1.83 eV/atom. Number 4: formation enthalpy at 0 K -0.58 eV/atom. Number 5: formation enthalpy at 0 K -1.37 eV/atom. Number 6: formation enthalpy at 0 K -0.21 eV/atom. Number 7: formation enthalpy at 0 K -0.77 eV/atom. Number 8: formation enthalpy at 0 K -0.70 eV/atom. Number 9: formation enthalpy at 0 K -0.02 eV/atom. Number 10: formation enthalpy at 0 K -0.12 eV/atom. Number 11: formation enthalpy at 0 K -0.14 eV/atom. Number 12: formation enthalpy at 0 K -0.68 eV/atom. Number 13: formation enthalpy at 0 K 0.05 eV/atom. Number 14: formation enthalpy at 0 K -2.72 eV/atom.